No. 1
Sr6MgTe8O22 GGA-PBE optimized geometry; magnetic moment = 0.0 μB/cell; offset from the most stable computed form = 12.3 meV/atom; formation energy from the elements = -213.1 kJ per mole of atoms; space-group type = P1, No. 1
1.0
8.2104 0.0000 0.0000
-1.4424 9.3307 0.0000
-3.6952 -1.7131 8.9067
Sr Mg Te O
6 1 8 22
direct
0.0000 0.0000 0.0000
0.0433 0.5119 0.4690
0.2224 0.1215 0.4433
0.5024 0.9333 0.7768
0.6460 0.5740 0.7266
0.7070 0.1195 0.2712
0.3567 0.9106 0.0403
0.2119 0.6230 0.8365
0.3122 0.7735 0.3320
0.3391 0.2583 0.8857
0.3967 0.3735 0.3053
0.7797 0.7807 0.1589
0.8379 0.3526 0.0391
0.8459 0.2117 0.6630
0.8550 0.8388 0.5719
0.0520 0.1601 0.8139
0.0720 0.6791 0.2922
0.1647 0.8233 0.8456
0.1673 0.2461 0.2037
0.2714 0.9108 0.1990
0.3458 0.9060 0.5033
0.3482 0.1468 0.7202
0.3527 0.4473 0.4741
0.3697 0.6572 0.7311
0.3975 0.1260 0.0214
0.5232 0.2347 0.3976
0.5908 0.8846 0.0634
0.5992 0.3938 0.9377
0.6790 0.8914 0.4045
0.7468 0.8565 0.7129
0.7671 0.1491 0.9635
0.7975 0.6325 0.5235
0.8231 0.3548 0.2272
0.8234 0.7448 0.9844
0.8490 0.3929 0.7638
0.9395 0.9670 0.2476
0.9596 0.2558 0.5300

---

No. 2
Sr6MgTe8O22 GGA-PBE optimized geometry; magnetic moment = 0.0 μB/cell; offset from the most stable computed form = 32.5 meV/atom; formation energy from the elements = -211.2 kJ per mole of atoms; space-group type = P1, No. 1
1.0
8.0526 0.0000 0.0000
-2.2506 9.1373 0.0000
-2.8583 -2.6759 8.7656
Sr Mg Te O
6 1 8 22
direct
0.0000 0.0000 0.0000
0.0236 0.4599 0.4629
0.4194 0.4385 0.2326
0.4901 0.9210 0.7324
0.5467 0.0229 0.1530
0.8185 0.8918 0.4893
0.1052 0.8182 0.7133
0.1923 0.7581 0.3206
0.2202 0.6768 0.9450
0.2555 0.2446 0.8026
0.2622 0.1617 0.4195
0.6433 0.5985 0.6388
0.6713 0.6705 0.0471
0.7677 0.2302 0.6342
0.7980 0.3174 0.0548
0.0148 0.8155 0.1828
0.0509 0.3060 0.6829
0.0858 0.7521 0.4775
0.1302 0.5437 0.2414
0.1509 0.0293 0.6892
0.1922 0.2415 0.9742
0.2259 0.8938 0.9427
0.2430 0.6684 0.7411
0.3194 0.3767 0.4802
0.3323 0.1479 0.2483
0.4218 0.5235 0.9685
0.4635 0.1255 0.5615
0.5150 0.7025 0.5157
0.5673 0.1561 0.9460
0.6467 0.7672 0.2276
0.6574 0.8361 0.9588
0.7168 0.4879 0.4955
0.7225 0.4174 0.2032
0.7476 0.1281 0.4364
0.7783 0.0662 0.7195
0.8581 0.7762 0.7184
0.9074 0.2001 0.1709